Density functional theory data (PBE with a Hubbard U) for crystalline K3FePCO7 at its relaxed geometry.

Cell: 5.692 11.926 11.915 Å, 109.64 90.01 90.05°
Element x y z (fractional)
K (0.757, 0.162, 0.089)
K (0.757, 0.662, 0.589)
K (0.243, 0.839, 0.911)
K (0.243, 0.338, 0.411)
K (0.256, 0.145, 0.864)
K (0.256, 0.645, 0.364)
K (0.255, 0.386, 0.104)
K (0.255, 0.886, 0.604)
K (0.745, 0.614, 0.895)
K (0.745, 0.114, 0.396)
K (0.744, 0.855, 0.136)
K (0.744, 0.355, 0.636)
Fe (0.763, 0.051, 0.699)
Fe (0.237, 0.948, 0.301)
Fe (0.763, 0.551, 0.199)
Fe (0.237, 0.449, 0.801)
P (0.727, 0.335, 0.915)
P (0.728, 0.835, 0.415)
P (0.273, 0.665, 0.085)
P (0.272, 0.165, 0.585)
C (0.743, 0.415, 0.335)
C (0.743, 0.915, 0.835)
C (0.257, 0.585, 0.665)
C (0.257, 0.085, 0.165)
O (0.261, 0.152, 0.099)
O (0.261, 0.652, 0.599)
O (0.738, 0.849, 0.901)
O (0.739, 0.348, 0.401)
O (0.943, 0.449, 0.301)
O (0.943, 0.949, 0.801)
O (0.057, 0.551, 0.699)
O (0.057, 0.051, 0.199)
O (0.549, 0.451, 0.299)
O (0.549, 0.951, 0.799)
O (0.451, 0.549, 0.701)
O (0.451, 0.049, 0.201)
O (0.471, 0.364, 0.886)
O (0.472, 0.863, 0.386)
O (0.529, 0.636, 0.114)
O (0.528, 0.136, 0.614)
O (0.091, 0.606, 0.144)
O (0.091, 0.106, 0.644)
O (0.908, 0.394, 0.856)
O (0.909, 0.894, 0.356)
O (0.761, 0.197, 0.869)
O (0.762, 0.697, 0.369)
O (0.761, 0.381, 0.053)
O (0.761, 0.881, 0.553)
O (0.239, 0.619, 0.946)
O (0.239, 0.119, 0.446)
O (0.239, 0.803, 0.131)
O (0.239, 0.303, 0.631)

## Properties
For the energy, the calculation gives -335.09 eV/cell. The calculation puts the formation energy at -2289.2 meV per atom. The spin magnetization is 0.00 μB/atom. The MP2020-corrected energy comes out at -6.9876 eV/atom.